1.
The following is a DFT calculation (PBE) of crystalline Na2LiTlF6 at its relaxed geometry.

The structure in extended XYZ format:
```
10
Lattice="0.000 4.176 4.176 4.176 0.000 4.176 4.176 4.176 0.000" Properties=species:S:1:pos:R:3 pbc="T T T"
Na 2.088 2.088 2.088
Na 6.264 6.264 6.264
Li 0.000 0.000 0.000
Tl 4.176 4.176 4.176
F 4.176 4.176 2.006
F 4.176 2.006 4.176
F 6.345 4.176 4.176
F 2.006 4.176 4.176
F 4.176 6.345 4.176
F 4.176 4.176 6.345
```

Properties
E (MP2020) ... -4.43 eV/atom
E_tot ... -4.15 eV/atom

2.
The following is a DFT calculation (PBE) of crystalline Na2LiYF6 at its relaxed geometry.

The structure in extended XYZ format:
```
10
Lattice="0.000 4.182 4.182 4.182 0.000 4.182 4.182 4.182 0.000" Properties=species:S:1:pos:R:3 pbc="T T T"
Na 2.091 2.091 2.091
Na 6.273 6.273 6.273
Li 0.000 0.000 0.000
Y 4.182 4.182 4.182
F 4.182 4.182 2.021
F 4.182 2.021 4.182
F 6.343 4.182 4.182
F 2.021 4.182 4.182
F 4.182 6.343 4.182
F 4.182 4.182 6.343
```

Properties
E (MP2020) ... -5.70 eV/atom
E_tot ... -5.42 eV/atom

3.
The following is a DFT calculation (PBE) of crystalline NaLiY2F8 at its relaxed geometry.

The structure in extended XYZ format:
```
24
Lattice="5.300 -4.200 0.000 5.300 4.200 0.000 0.000 0.000 7.128" Properties=species:S:1:pos:R:3 pbc="T T T"
Na 5.300 2.873 5.346
Na 5.300 -2.873 1.782
Li 5.300 0.000 0.000
Li 5.300 0.000 3.564
Y 3.321 2.212 1.782
Y 7.279 2.212 1.782
Y 3.321 -2.212 5.346
Y 7.279 -2.212 5.346
F 5.300 3.286 1.782
F 3.841 1.693 3.926
F 3.841 1.693 6.765
F 2.317 0.229 1.782
F 2.317 -0.229 5.346
F 5.300 0.739 1.782
F 6.758 1.693 3.926
F 6.758 1.693 6.765
F 3.841 -1.693 0.362
F 3.841 -1.693 3.201
F 5.300 -0.739 5.346
F 8.283 0.229 1.782
F 8.283 -0.229 5.346
F 6.758 -1.693 0.362
F 6.758 -1.693 3.201
F 5.300 -3.286 5.346
```

Properties
E (MP2020) ... -6.62 eV/atom
E_tot ... -6.31 eV/atom

4.
The following is a DFT calculation (PBE) of crystalline LiNbF6 at its relaxed geometry.

The structure in extended XYZ format:
```
8
Lattice="2.705 1.562 4.584 -2.705 1.562 4.584 0.000 -3.124 4.584" Properties=species:S:1:pos:R:3 pbc="T T T"
Li 0.000 0.000 0.000
Nb 0.000 0.000 6.876
F -0.466 -1.516 5.757
F -1.546 -0.354 7.994
F -1.080 1.161 5.757
F 1.080 -1.161 7.994
F 1.546 0.354 5.757
F 0.466 1.516 7.994
```

Properties
E (MP2020) ... -6.33 eV/atom
E_tot ... -5.98 eV/atom

5.
The following is a DFT calculation (PBE) of crystalline LiNb3O7F at its relaxed geometry.

The structure in extended XYZ format:
```
12
Lattice="4.050 0.000 0.000 0.000 1.947 10.726 0.000 -1.947 10.726" Properties=species:S:1:pos:R:3 pbc="T T T"
Li 0.000 0.000 0.000
Nb 2.025 0.000 2.174
Nb 2.025 0.000 6.045
Nb 2.025 0.000 9.920
O 0.000 0.000 1.965
O 0.000 0.000 10.043
O 2.025 0.000 4.021
O 2.025 0.000 8.061
O 2.025 0.000 12.290
O 2.025 0.000 16.780
O 2.025 0.000 21.196
F 0.000 0.000 6.040
```

Properties
E (MP2020) ... -8.69 eV/atom
E_tot ... -8.25 eV/atom

6.
The following is a DFT calculation (PBE) of crystalline LiNb3O7F at its relaxed geometry.

The structure in extended XYZ format:
```
12
Lattice="3.906 0.000 0.000 0.000 4.048 0.000 -1.946 0.000 10.706" Properties=species:S:1:pos:R:3 pbc="T T T"
Li 0.000 0.000 0.000
Nb 1.951 2.024 0.770
Nb 2.052 2.024 4.645
Nb 1.961 2.024 8.521
O -0.002 2.024 0.241
O 0.053 2.024 4.657
O 0.006 2.024 9.136
O 1.948 0.000 0.662
O 1.972 2.024 2.633
O 1.975 2.024 6.681
O 1.958 0.000 8.744
F 2.018 0.000 4.653
```

Properties
E (MP2020) ... -8.69 eV/atom
E_tot ... -8.25 eV/atom

7.
The following is a DFT calculation (PBE) of crystalline SrLiNb2O6F at its relaxed geometry.

The structure in extended XYZ format:
```
22
Lattice="9.217 0.000 0.000 0.000 5.989 0.000 -1.884 0.000 5.828" Properties=species:S:1:pos:R:3 pbc="T T T"
Sr 0.000 1.395 0.000
Sr -0.942 4.594 2.914
Li 4.894 0.056 0.467
Li 3.952 5.933 3.381
Nb 1.247 1.259 3.793
Nb 2.189 4.730 0.879
Nb 6.601 1.574 2.384
Nb 5.659 4.415 5.298
O -0.764 1.330 3.543
O 0.178 4.659 0.629
O 0.583 0.136 5.513
O 1.525 5.853 2.599
O 2.835 1.364 4.658
O 3.776 4.625 1.744
O 4.822 1.317 2.139
O 3.881 4.672 5.054
O 7.181 0.090 1.372
O 6.239 5.899 4.286
O 6.333 2.965 4.267
O 7.275 3.024 1.353
F 0.319 2.991 5.692
F 1.261 2.998 2.778
```

Properties
E (MP2020) ... -8.04 eV/atom
E_tot ... -7.63 eV/atom
Polymorph energy (0 for the lowest one) ... 186 meV per atom

8.
The following is a DFT calculation (PBE) of crystalline SrLiNb2O6F at its relaxed geometry.

The structure in extended XYZ format:
```
11
Lattice="-1.937 1.937 10.447 1.937 -1.937 10.447 1.937 1.937 -10.447" Properties=species:S:1:pos:R:3 pbc="T T T"
Sr 0.000 0.000 0.000
Li 0.000 1.937 5.223
Nb 0.000 0.000 7.985
Nb 0.000 0.000 12.908
O 1.937 0.000 1.919
O 0.000 0.000 6.182
O 1.937 0.000 8.528
O 0.000 1.937 1.942
O 0.000 0.000 14.712
O 0.000 1.937 8.505
F 0.000 0.000 10.447
```

Properties
E (MP2020) ... -8.23 eV/atom
E_tot ... -7.81 eV/atom
Polymorph energy (0 for the lowest one) ... 0 meV per atom
Piezoelectric modulus e_max ... 0.1 C/m2

9.
The following is a DFT calculation (PBE) of crystalline LiSO3F at its relaxed geometry.

The structure in extended XYZ format:
```
12
Lattice="4.306 -3.844 0.000 4.306 3.844 0.000 -0.152 0.000 5.306" Properties=species:S:1:pos:R:3 pbc="T T T"
Li 4.306 2.361 0.000
Li 4.306 -2.361 0.000
S 2.476 0.000 1.356
S 5.985 0.000 3.950
O 1.101 0.000 0.840
O 3.192 1.231 1.118
O 5.268 1.231 4.188
O 3.192 -1.231 1.118
O 5.268 -1.231 4.188
O 7.360 0.000 4.465
F 2.255 0.000 2.940
F 6.206 0.000 2.365
```

Properties
E (MP2020) ... -6.02 eV/atom
E_tot ... -5.60 eV/atom

10.
The following is a DFT calculation (PBE) of crystalline Li2SbSO4F3 at its relaxed geometry.

The structure in extended XYZ format:
```
44
Lattice="5.134 0.000 0.000 0.000 8.740 0.000 0.000 0.000 13.018" Properties=species:S:1:pos:R:3 pbc="T T T"
Li 0.021 1.840 0.702
Li 0.213 4.434 9.387
Li 2.354 4.305 2.878
Li 2.546 6.899 7.211
Li 2.588 2.530 12.316
Li 2.780 8.675 3.631
Li 4.921 0.064 10.140
Li 5.113 6.210 5.807
Sb 0.292 4.875 12.678
Sb 2.275 3.865 6.169
Sb 2.859 8.235 0.340
Sb 4.842 0.505 6.849
S 0.139 6.959 2.315
S 2.428 1.780 8.824
S 2.706 6.150 10.703
S 4.995 2.590 4.194
O 0.121 3.332 5.519
O 0.800 5.655 1.905
O 1.063 7.749 3.132
O 1.155 2.357 3.527
O 1.412 6.383 10.036
O 1.504 0.991 9.641
O 1.767 3.084 8.415
O 2.446 5.408 12.028
O 2.688 1.038 7.499
O 3.367 7.454 11.113
O 3.630 5.361 9.887
O 3.722 2.013 9.491
O 3.979 6.726 2.982
O 4.071 3.379 3.378
O 4.335 1.286 4.604
O 5.013 7.702 0.990
F 0.565 3.612 11.112
F 1.068 7.766 6.255
F 1.154 5.261 7.093
F 1.414 3.479 0.584
F 1.499 0.974 12.764
F 2.002 5.128 4.603
F 3.133 0.758 1.906
F 3.635 5.344 6.763
F 3.721 7.849 5.925
F 3.981 0.891 12.434
F 4.066 3.396 0.254
F 4.569 7.981 8.415
```

Properties
E (MP2020) ... -5.79 eV/atom
E_tot ... -5.42 eV/atom

11.
The following is a DFT calculation (PBE) of crystalline LiY3Si2O8F2 at its relaxed geometry.

The structure in extended XYZ format:
```
32
Lattice="8.930 -2.472 0.000 8.930 2.472 0.000 -7.731 0.000 8.854" Properties=species:S:1:pos:R:3 pbc="T T T"
Li 4.465 1.236 0.000
Li 0.600 -1.236 4.427
Y 3.561 1.467 3.617
Y 6.997 1.419 2.214
Y 10.434 1.467 0.810
Y -0.304 -1.467 8.044
Y 3.132 -1.419 6.641
Y 6.568 -1.467 5.238
Si 0.972 1.350 6.256
Si 5.293 1.350 7.026
Si 4.837 -1.350 1.829
Si 9.158 -1.350 2.598
O 1.639 2.052 7.621
O -0.657 0.398 3.795
O 1.758 0.519 2.569
O 4.625 2.052 5.660
O -4.523 -0.398 8.222
O 4.923 0.284 1.904
O -2.107 -0.519 6.997
O 1.057 -0.284 6.331
O 9.072 0.284 2.523
O 12.237 0.519 1.858
O 5.207 -0.284 6.950
O 14.652 0.398 0.632
O 5.505 -2.052 3.194
O 8.371 -0.519 6.285
O 10.787 -0.398 5.059
O 8.490 -2.052 1.233
F 7.411 0.537 0.190
F 6.584 0.537 4.238
F 3.546 -0.537 4.617
F 2.719 -0.537 8.665
```

Properties
E (MP2020) ... -8.44 eV/atom
E_tot ... -8.03 eV/atom

12.
The following is a DFT calculation (PBE) of crystalline Sr3LiTa4O12F2 at its relaxed geometry.

The structure in extended XYZ format:
```
22
Lattice="3.789 2.187 6.063 -3.789 2.187 6.063 0.000 -4.375 6.063" Properties=species:S:1:pos:R:3 pbc="T T T"
Sr -1.894 -1.094 6.063
Sr -1.894 1.094 12.127
Sr 0.000 2.187 6.063
Li 0.000 0.000 9.095
Ta 0.000 0.000 0.000
Ta -3.789 0.000 9.095
Ta -1.894 1.094 3.032
Ta 1.894 1.094 3.032
O -2.369 -1.368 8.698
O 0.000 -2.651 4.999
O -2.296 1.325 4.999
O 0.000 -2.736 9.492
O -2.369 1.368 9.492
O -2.296 -1.325 13.191
O 2.296 1.325 4.999
O 2.369 -1.368 8.698
O 0.000 2.736 8.698
O 2.296 -1.325 13.191
O 0.000 2.651 13.191
O 2.369 1.368 9.492
F 0.000 0.000 7.125
F 0.000 0.000 11.065
```

Properties
E (MP2020) ... -8.79 eV/atom
E_tot ... -8.38 eV/atom